Na2BeGe2O6 | r2SCAN | optimized geometry

ΔE_f: -2.14 eV/atom
Volume: 3283 Å³/cell

a = 7.109 Å, b = 21.469 Å, c = 21.512 Å
α = 90.00°, β = 90.00°, γ = 90.00°
Space group Fdd2 (No. 43)
Symmetry-distinct sites (fractional):
Na: 0.000 0.000 0.000 [8 per cell]
Na: 0.000 0.000 0.366 [8 per cell]
Na: 0.012 0.328 0.982 [16 per cell]
Na: 0.015 0.342 0.344 [16 per cell]
Be: 0.000 0.000 0.142 [8 per cell]
Be: 0.016 0.331 0.186 [16 per cell]
Ge: 0.000 0.000 0.508 [8 per cell]
Ge: 0.000 0.000 0.854 [8 per cell]
Ge: 0.006 0.315 0.495 [16 per cell]
Ge: 0.013 0.351 0.836 [16 per cell]
O: 0.028 0.065 0.558 [16 per cell]
O: 0.028 0.095 0.274 [16 per cell]
O: 0.046 0.068 0.895 [16 per cell]
O: 0.047 0.236 0.717 [16 per cell]
O: 0.049 0.241 0.054 [16 per cell]
O: 0.061 0.271 0.430 [16 per cell]
O: 0.067 0.445 0.593 [16 per cell]
O: 0.071 0.383 0.241 [16 per cell]
O: 0.075 0.394 0.901 [16 per cell]



BePH4NO4 | r2SCAN | optimized geometry

ΔE_f: -1.70 eV/atom
Volume: 368 Å³/cell

a = 8.710 Å, b = 8.587 Å, c = 4.927 Å
α = 90.00°, β = 90.00°, γ = 90.00°
Space group Pna2_1 (No. 33)
Symmetry-distinct sites (fractional):
Be: 0.174 0.094 0.000 [4 per cell]
P: 0.185 0.915 0.499 [4 per cell]
H: 0.007 0.209 0.367 [4 per cell]
H: 0.012 0.278 0.682 [4 per cell]
H: 0.098 0.635 0.940 [4 per cell]
H: 0.100 0.374 0.426 [4 per cell]
N: 0.005 0.309 0.482 [4 per cell]
O: 0.011 0.892 0.493 [4 per cell]
O: 0.233 0.045 0.302 [4 per cell]
O: 0.236 0.963 0.787 [4 per cell]
O: 0.237 0.264 0.920 [4 per cell]



HfBe | r2SCAN | optimized geometry

ΔE_f: -0.11 eV/atom
Volume: 124 Å³/cell

a = 3.303 Å, b = 10.054 Å, c = 3.729 Å
α = 90.00°, β = 90.00°, γ = 90.00°
Space group Cmcm (No. 63)
Symmetry-distinct sites (fractional):
Hf: 0.000 0.151 0.250 [4 per cell]
Be: 0.000 0.440 0.250 [4 per cell]



HfBe5 | r2SCAN | optimized geometry

ΔE_f: -0.25 eV/atom
Volume: 61 Å³/cell

a = 4.5194 Å, b = 4.5194 Å, c = 3.4397 Å
α = 90.00°, β = 90.00°, γ = 120.00°
Space group P6/mmm (No. 191)
Symmetry-distinct sites (fractional):
Hf: 0.0000 0.0000 0.0000 [1 per cell]
Be: 0.0000 0.5000 0.5000 [3 per cell]
Be: 0.3333 0.6667 0.0000 [2 per cell]



HfBe2 | r2SCAN | optimized geometry

ΔE_f: -0.20 eV/atom
Volume: 39 Å³/cell

a = 3.7795 Å, b = 3.7795 Å, c = 3.1700 Å
α = 90.00°, β = 90.00°, γ = 120.00°
Space group P6/mmm (No. 191)
Symmetry-distinct sites (fractional):
Hf: 0.0000 0.0000 0.0000 [1 per cell]
Be: 0.3333 0.6667 0.5000 [2 per cell]



Hf6Be15Ni8 | r2SCAN | optimized geometry

ΔE_f: -0.43 eV/atom
Volume: 1302 Å³/cell

a = 10.918 Å, b = 10.918 Å, c = 10.918 Å
α = 90.00°, β = 90.00°, γ = 90.00°
Space group Fm-3m (No. 225)
Symmetry-distinct sites (fractional):
Hf: 0.000 0.000 0.211 [24 per cell]
Be: 0.000 0.000 0.500 [4 per cell]
Be: 0.000 0.250 0.250 [24 per cell]
Be: 0.177 0.177 0.177 [32 per cell]
Ni: 0.124 0.124 0.376 [32 per cell]



Hf6Be15Pd8 | r2SCAN | optimized geometry

ΔE_f: -0.50 eV/atom
Volume: 1463 Å³/cell

a = 11.351 Å, b = 11.351 Å, c = 11.351 Å
α = 90.00°, β = 90.00°, γ = 90.00°
Space group Fm-3m (No. 225)
Symmetry-distinct sites (fractional):
Hf: 0.000 0.000 0.199 [24 per cell]
Be: 0.000 0.000 0.500 [4 per cell]
Be: 0.000 0.250 0.250 [24 per cell]
Be: 0.174 0.174 0.174 [32 per cell]
Pd: 0.125 0.125 0.375 [32 per cell]



HfBeSi | r2SCAN | optimized geometry

ΔE_f: -0.68 eV/atom
Volume: 84 Å³/cell

a = 3.6934 Å, b = 3.6934 Å, c = 7.1053 Å
α = 90.00°, β = 90.00°, γ = 120.00°
Space group P6_3/mmc (No. 194)
Symmetry-distinct sites (fractional):
Hf: 0.0000 0.0000 0.0000 [2 per cell]
Be: 0.3333 0.6667 0.2500 [2 per cell]
Si: 0.3333 0.6667 0.7500 [2 per cell]



HoBe13 | r2SCAN | optimized geometry

ΔE_f: -0.20 eV/atom
Volume: 1057 Å³/cell

a = 10.185 Å, b = 10.185 Å, c = 10.185 Å
α = 90.00°, β = 90.00°, γ = 90.00°
Space group Fm-3c (No. 226)
Symmetry-distinct sites (fractional):
Ho: 0.250 0.250 0.250 [8 per cell]
Be: 0.000 0.000 0.000 [8 per cell]
Be: 0.000 0.114 0.176 [96 per cell]



Be2NiIr | r2SCAN | optimized geometry

ΔE_f: -0.60 eV/atom
Volume: 157 Å³/cell

a = 5.398 Å, b = 5.398 Å, c = 5.398 Å
α = 90.00°, β = 90.00°, γ = 90.00°
Space group Fm-3m (No. 225)
Symmetry-distinct sites (fractional):
Be: 0.250 0.250 0.250 [8 per cell]
Ni: 0.000 0.000 0.000 [4 per cell]
Ir: 0.000 0.000 0.500 [4 per cell]



Be2IrRu | r2SCAN | optimized geometry

ΔE_f: -0.39 eV/atom
Volume: 172 Å³/cell

a = 5.562 Å, b = 5.562 Å, c = 5.562 Å
α = 90.00°, β = 90.00°, γ = 90.00°
Space group Fm-3m (No. 225)
Symmetry-distinct sites (fractional):
Be: 0.250 0.250 0.250 [8 per cell]
Ir: 0.000 0.000 0.000 [4 per cell]
Ru: 0.000 0.000 0.500 [4 per cell]



K2Be2Si6O15 | r2SCAN | optimized geometry

ΔE_f: -2.97 eV/atom
Volume: 1327 Å³/cell

a = 7.485 Å, b = 15.399 Å, c = 11.516 Å
α = 90.00°, β = 90.00°, γ = 90.00°
Space group Cmc2_1 (No. 36)
Symmetry-distinct sites (fractional):
K: 0.000 0.098 0.000 [4 per cell]
K: 0.000 0.207 0.279 [4 per cell]
Be: 0.152 0.381 0.646 [8 per cell]
Si: 0.000 0.351 0.881 [4 per cell]
Si: 0.000 0.450 0.420 [4 per cell]
Si: 0.206 0.055 0.729 [8 per cell]
Si: 0.211 0.209 0.550 [8 per cell]
O: 0.000 0.075 0.769 [4 per cell]
O: 0.000 0.202 0.514 [4 per cell]
O: 0.000 0.353 0.743 [4 per cell]
O: 0.000 0.404 0.544 [4 per cell]
O: 0.000 0.447 0.937 [4 per cell]
O: 0.178 0.422 0.347 [8 per cell]
O: 0.180 0.302 0.927 [8 per cell]
O: 0.225 0.041 0.184 [8 per cell]
O: 0.233 0.201 0.108 [8 per cell]
O: 0.238 0.372 0.133 [8 per cell]



LuBe13 | r2SCAN | optimized geometry

ΔE_f: -0.19 eV/atom
Volume: 1036 Å³/cell

a = 10.118 Å, b = 10.118 Å, c = 10.118 Å
α = 90.00°, β = 90.00°, γ = 90.00°
Space group Fm-3c (No. 226)
Symmetry-distinct sites (fractional):
Lu: 0.250 0.250 0.250 [8 per cell]
Be: 0.000 0.000 0.000 [8 per cell]
Be: 0.000 0.115 0.177 [96 per cell]



MgBe13 | r2SCAN | optimized geometry

ΔE_f: 0.00 eV/atom
Volume: 1029 Å³/cell

a = 10.097 Å, b = 10.097 Å, c = 10.097 Å
α = 90.00°, β = 90.00°, γ = 90.00°
Space group Fm-3c (No. 226)
Symmetry-distinct sites (fractional):
Mg: 0.250 0.250 0.250 [8 per cell]
Be: 0.000 0.000 0.000 [8 per cell]
Be: 0.000 0.113 0.178 [96 per cell]